(1)
## MgCr2Cu2W4O16 (PBE with a Hubbard U)

Data for crystalline MgCr2Cu2W4O16 at its relaxed geometry.

Properties
offset from the most stable computed form = 0.52 eV per formula unit
uncorrected energy = -7.05 eV per atom

Cell lengths 9.6890, 11.7528, 5.0267 Å; angles 90.00, 90.64, 90.00 degrees
Closest atoms and distances in Å follow each position.
Space group C2 (No. 5)
One atom of each set of equivalent atoms:
Mg (0.0000, 0.0000, 0.0000)  6 O 2.00-2.05
Cr (0.0000, 0.2323, 0.0000)  6 O 1.98-2.09
Cr (0.0000, 0.8740, 0.5000)  6 O 2.02-2.14
Cu (0.0000, 0.3938, 0.5000)  4 O 2.05-2.12
Cu (0.0000, 0.7208, 0.0000)  6 O 2.15-2.36
W (0.2257, 0.4644, 0.9876)  4 O 1.84-2.04
W (0.2494, 0.6397, 0.4960)  5 O 1.86-2.02
O (0.1098, 0.3569, 0.8413)  1 W 1.84, 1 Cr 1.98, 1 Cu 2.05
O (0.1186, 0.8806, 0.8336)  1 Mg 2.00, 1 W 2.01, 1 Cr 2.02
O (0.1214, 0.2308, 0.3276)  1 W 1.86, 1 Cr 2.01
O (0.1258, 0.7468, 0.3633)  1 W 1.86, 1 Cr 2.05
O (0.1332, 0.1139, 0.8290)  1 W 2.02, 1 Mg 2.05, 1 Cr 2.09
O (0.1348, 0.9938, 0.3147)  1 Mg 2.04, 2 W 2.07-2.25, 1 Cr 2.14
O (0.1433, 0.6066, 0.8148)  2 W 1.95-2.04, 1 Cu 2.15
O (0.1460, 0.5078, 0.3347)  2 W 1.98-2.01, 1 Cu 2.12

(2)
## MgCr2Cu2W4O16 (PBE with a Hubbard U)

Data for crystalline MgCr2Cu2W4O16 at its relaxed geometry.

Properties
offset from the most stable computed form = 0.00 eV per formula unit
uncorrected energy = -7.07 eV per atom

Cell lengths 9.7177, 11.5194, 5.1052 Å; angles 90.00, 91.53, 90.00 degrees
Closest atoms and distances in Å follow each position.
Space group C2 (No. 5)
One atom of each set of equivalent atoms:
Mg (0.0000, 0.0000, 0.0000)  6 O 2.04-2.10
Cr (0.0000, 0.3694, 0.5000)  6 O 1.98-2.05
Cr (0.0000, 0.7349, 0.0000)  6 O 2.03-2.10
Cu (0.0000, 0.2262, 0.0000)  4 O 2.07-2.22
Cu (0.0000, 0.8699, 0.5000)  4 O 2.12-2.17
W (0.2227, 0.4656, 0.0022)  4 O 1.84-2.04
W (0.2443, 0.6333, 0.5066)  4 O 1.86-2.02
O (0.1064, 0.3620, 0.8360)  1 W 1.84, 1 Cr 1.98
O (0.1180, 0.8666, 0.8545)  1 W 2.04, 1 Cr 2.05, 1 Mg 2.07, 1 Cu 2.12
O (0.1196, 0.7305, 0.3326)  1 W 1.86, 1 Cr 2.03
O (0.1266, 0.2407, 0.3676)  1 W 1.86, 1 Cr 2.05
O (0.1319, 0.4900, 0.3547)  1 Cr 2.04, 2 W 2.04-2.12
O (0.1332, 0.6136, 0.8328)  2 W 2.02-2.09, 1 Cr 2.10
O (0.1483, 0.0035, 0.2907)  2 W 2.02-2.08, 1 Mg 2.04
O (0.1496, 0.0963, 0.8053)  2 W 1.97-2.17, 1 Mg 2.10

(3)
## Mn3Cr2CuP6O24 (PBE with a Hubbard U)

Data for crystalline Mn3Cr2CuP6O24 at its relaxed geometry.

Properties
uncorrected energy = -7.21 eV per atom

Cell lengths 8.6184, 8.6184, 20.3393 Å; angles 90.00, 90.00, 120.00 degrees
Closest atoms and distances in Å follow each position.
Space group R3 (No. 146, hexagonal axes)
One atom of each set of equivalent atoms:
Mn (0.0000, 0.0000, 0.0000)  6 O 1.92-2.05
Mn (0.0000, 0.0000, 0.2125)  6 O 1.95-2.08
Mn (0.0000, 0.0000, 0.7114)  6 O 1.94-2.08
Cr (0.0000, 0.0000, 0.3578)  6 O 2.05-2.10
Cr (0.0000, 0.0000, 0.8559)  6 O 2.10
Cu (0.0000, 0.0000, 0.5019)  6 O 1.96-2.14
P (0.0011, 0.7050, 0.1057)  4 O 1.51-1.59
P (0.0363, 0.3689, 0.2722)  4 O 1.51-1.59
O (0.0048, 0.2035, 0.6684)  1 P 1.52
O (0.0045, 0.8014, 0.1684)  1 P 1.51
O (0.0089, 0.1758, 0.2843)  1 P 1.58
O (0.0130, 0.8348, 0.7832)  1 P 1.59
O (0.1282, 0.4578, 0.2086)  1 P 1.51
O (0.1399, 0.6753, 0.7100)  1 P 1.52
O (0.1658, 0.6788, 0.0935)  1 P 1.57
O (0.1686, 0.4917, 0.5964)  1 P 1.59

(4)
## Mn3CrCu2P6O24 (PBE with a Hubbard U)

Data for crystalline Mn3CrCu2P6O24 at its relaxed geometry.

Properties
uncorrected energy = -7.04 eV per atom

Cell lengths 8.5134, 8.5134, 20.9155 Å; angles 90.00, 90.00, 120.00 degrees
Closest atoms and distances in Å follow each position.
Space group R3 (No. 146, hexagonal axes)
One atom of each set of equivalent atoms:
Mn (0.0000, 0.0000, 0.0000)  6 O 1.88-1.96
Mn (0.0000, 0.0000, 0.2153)  6 O 1.91-1.99
Mn (0.0000, 0.0000, 0.7153)  6 O 1.91-1.97
Cr (0.0000, 0.0000, 0.4989)  6 O 1.95-2.00
Cu (0.0000, 0.0000, 0.3587)  6 O 2.20-2.22
Cu (0.0000, 0.0000, 0.8580)  6 O 2.23
P (0.9997, 0.2896, 0.6084)  4 O 1.52-1.58
P (0.9998, 0.7114, 0.1069)  4 O 1.53-1.57
O (0.0073, 0.8130, 0.0457)  1 P 1.53
O (0.0084, 0.1998, 0.5469)  1 P 1.52
O (0.0224, 0.1831, 0.2796)  1 P 1.57
O (0.0264, 0.8414, 0.7780)  1 P 1.57
O (0.1440, 0.4679, 0.3368)  1 P 1.53
O (0.1443, 0.6762, 0.8357)  1 P 1.53
O (0.1697, 0.6892, 0.1024)  1 P 1.55
O (0.1736, 0.4837, 0.6047)  1 P 1.58

(5)
## Cr4CuO12 (PBE with a Hubbard U)

Data for crystalline Cr4CuO12 at its relaxed geometry.

Properties
uncorrected energy = -6.54 eV per atom

Cell lengths 9.9745, 9.0416, 5.7597 Å; angles 90.00, 109.58, 90.00 degrees
Closest atoms and distances in Å follow each position.
Space group C2 (No. 5)
One atom of each set of equivalent atoms:
Cr (0.2029, 0.0000, 0.4827)  4 O 1.60-1.75
Cr (0.2060, 0.1875, 0.9788)  4 O 1.63-1.81
Cu (0.0000, 0.5036, 0.0000)  6 O 2.04-2.18
O (0.1213, 0.6748, 0.9389)  1 Cr 1.63
O (0.1255, 0.4970, 0.3901)  1 Cr 1.62
O (0.1367, 0.0869, 0.6926)  2 Cr 1.75-1.81
O (0.1444, 0.3584, 0.9498)  1 Cr 1.65
O (0.1452, 0.8339, 0.4418)  1 Cr 1.60
O (0.1462, 0.0920, 0.2002)  2 Cr 1.74-1.80

(6)
## CrCu2O6 (PBE with a Hubbard U)

Data for crystalline CrCu2O6 at its relaxed geometry.

Properties
offset from the most stable computed form = 0.29 eV per formula unit
uncorrected energy = -5.63 eV per atom

Cell lengths 5.6707, 9.3783, 8.9627 Å; angles 90.00, 90.00, 90.00 degrees
Closest atoms and distances in Å follow each position.
Space group Cmcm (No. 63)
One atom of each set of equivalent atoms:
Cr (0.0000, 0.0300, 0.2500)  4 O 1.61-1.78
Cu (0.2500, 0.2500, 0.0000)  4 O 1.81-1.93
O (0.0000, 0.1383, 0.0873)  1 Cr 1.78, 2 Cu 1.93
O (0.0000, 0.3443, 0.5780)  2 Cu 1.81
O (0.2293, 0.0707, 0.7500)  1 Cr 1.61

(7)
## CrCu2O6 (PBE with a Hubbard U)

Data for crystalline CrCu2O6 at its relaxed geometry.

Properties
offset from the most stable computed form = 0.00 eV per formula unit
uncorrected energy = -5.66 eV per atom

Cell lengths 5.8074, 5.1418, 14.9210 Å; angles 90.00, 106.15, 90.00 degrees
Closest atoms and distances in Å follow each position.
Space group P2_1/c (No. 14)
One atom of each set of equivalent atoms:
Cr (0.1541, 0.0477, 0.3761)  4 O 1.61-1.78
Cu (0.0000, 0.0000, 0.0000)  4 O 1.90
Cu (0.3609, 0.2304, 0.1793)  4 O 1.82-1.95
Cu (0.5000, 0.0000, 0.0000)  4 O 1.94-1.95
O (0.0728, 0.1134, 0.5978)  1 Cr 1.69
O (0.1099, 0.0818, 0.2654)  1 Cr 1.61
O (0.1938, 0.1366, 0.9279)  1 Cr 1.78, 2 Cu 1.90-1.94
O (0.3062, 0.5436, 0.5866)  3 Cu 1.90-1.95
O (0.3948, 0.5494, 0.2433)  2 Cu 1.82-1.88
O (0.4012, 0.6172, 0.9173)  1 Cr 1.63

(8)
## CrCuO3 (PBE with a Hubbard U)

Data for crystalline CrCuO3 at its relaxed geometry.

Properties
uncorrected energy = -5.93 eV per atom

Cell lengths 3.6988, 3.6988, 3.6988 Å; angles 90.00, 90.00, 90.00 degrees
Closest atoms and distances in Å follow each position.
Space group Pm-3m (No. 221)
One atom of each set of equivalent atoms:
Cr (0.0000, 0.0000, 0.0000)  6 O 1.85
Cu (0.5000, 0.5000, 0.5000)  12 O 2.62
O (0.0000, 0.0000, 0.5000)  2 Cr 1.85

(9)
## Cr3Cu2O12 (PBE with a Hubbard U)

Data for crystalline Cr3Cu2O12 at its relaxed geometry.

Properties
offset from the most stable computed form = 0.00 eV per formula unit
uncorrected energy = -6.13 eV per atom

Cell lengths 8.6298, 9.0124, 14.8466 Å; angles 90.00, 124.81, 90.00 degrees
Closest atoms and distances in Å follow each position.
Space group P2_1/c (No. 14)
One atom of each set of equivalent atoms:
Cr (0.0291, 0.1131, 0.1433)  4 O 1.66-1.68
Cr (0.2579, 0.6209, 0.1495)  4 O 1.66-1.68
Cr (0.4533, 0.2481, 0.4918)  4 O 1.66-1.68
Cu (0.1291, 0.5302, 0.8822)  6 O 1.95-2.00
Cu (0.3657, 0.5286, 0.6134)  6 O 1.96-2.05
O (0.0181, 0.2173, 0.6841)  1 Cr 1.67
O (0.1178, 0.5727, 0.1888)  1 Cr 1.67
O (0.1210, 0.5046, 0.7482)  1 Cr 1.66
O (0.1542, 0.5777, 0.0184)  1 Cr 1.66
O (0.1652, 0.1139, 0.0970)  1 Cr 1.67
O (0.1920, 0.5592, 0.4543)  1 Cr 1.68
O (0.2401, 0.1713, 0.4329)  1 Cr 1.67
O (0.2843, 0.6942, 0.6632)  1 Cr 1.68
O (0.3801, 0.6198, 0.9458)  1 Cr 1.66
O (0.4578, 0.1692, 0.8917)  1 Cr 1.68
O (0.4640, 0.5322, 0.2266)  1 Cr 1.67
O (0.4903, 0.1329, 0.0882)  1 Cr 1.67

(10)
## Cr3Cu2O12 (PBE with a Hubbard U)

Data for crystalline Cr3Cu2O12 at its relaxed geometry.

Properties
offset from the most stable computed form = 0.19 eV per formula unit
uncorrected energy = -6.11 eV per atom

Cell lengths 12.2454, 8.9776, 8.8779 Å; angles 90.00, 90.00, 90.00 degrees
Closest atoms and distances in Å follow each position.
Space group Pbcn (No. 60)
One atom of each set of equivalent atoms:
Cr (0.0000, 0.0381, 0.2500)  4 O 1.66-1.67
Cr (0.1448, 0.3999, 0.6058)  4 O 1.66-1.68
Cu (0.1221, 0.2498, 0.9705)  6 O 1.97-2.02
O (0.0167, 0.3554, 0.5654)  1 Cr 1.66
O (0.0685, 0.0666, 0.8711)  1 Cr 1.66
O (0.0919, 0.1456, 0.1627)  1 Cr 1.67
O (0.1634, 0.4149, 0.1055)  1 Cr 1.68
O (0.1772, 0.3405, 0.7770)  1 Cr 1.66
O (0.2254, 0.3241, 0.4752)  1 Cr 1.67

Calculated theoretical density in order - 7.2 7.2 3.4 3.5 3.1 3.8 4.3 5.4 3.3 3.2 g/cm³